[1]
Crystalline BaNb3NO7 at its relaxed geometry. Source: Materials Project, functional PBE.

Output
Excess energy over the best structure of this formula in the dataset ... 0.004 eV/atom
Energy of formation from the pure elements ... -2809 meV per atom
Size of the total moment ... 0.000 μB per atom

Lattice parameters (Å, degrees): 10.777 10.777 9.119 91.46 91.46 20.72
Positions (direct):
Ba 0.000 0.000 0.000
Ba 0.035 0.035 0.501
Nb 0.259 0.259 0.995
Nb 0.386 0.386 0.310
Nb 0.386 0.386 0.689
Nb 0.645 0.645 0.820
Nb 0.649 0.649 0.191
Nb 0.777 0.777 0.512
N 0.598 0.598 0.999
N 0.862 0.862 0.654
O 0.172 0.172 0.157
O 0.173 0.173 0.841
O 0.304 0.304 0.491
O 0.314 0.314 0.155
O 0.315 0.315 0.848
O 0.438 0.438 0.497
O 0.451 0.451 0.184
O 0.453 0.453 0.819
O 0.582 0.582 0.677
O 0.584 0.584 0.320
O 0.720 0.720 0.656
O 0.723 0.723 0.341
O 0.731 0.731 0.997
O 0.866 0.866 0.337

[2]
Crystalline Na3Pd at its relaxed geometry. Source: Materials Project, functional PBE.

Output
Energy of formation from the pure elements ... -22 meV per atom

Lattice parameters (Å, degrees): 5.113 5.113 5.113 60.00 60.00 60.00
Positions (direct):
Na 0.000 0.000 0.000
Na 0.250 0.250 0.250
Na 0.750 0.750 0.750
Pd 0.500 0.500 0.500

Q: What is the energy of formation from the pure elements in the first record?
A: -2809 meV per atom